No. 1
The following is a PBE-GGA calculation of an optimized crystal structure of NbCr3Ag2S8, from the Materials Project database.

Output
M_tot   9.0 μB per formula unit
E_form   -0.71 eV/atom
Energy   -335.1 eV for the cell shown
ΔE to the lowest computed polymorph   0.187 eV per atom

Lattice parameters (Å, degrees): 11.720 7.279 12.340 90.00 90.00 83.76
Positions (direct):
Nb: 0.091 0.962 0.676
Nb: 0.909 0.038 0.176
Nb: 0.408 0.476 0.851
Nb: 0.592 0.524 0.351
Cr: 0.371 0.827 0.200
Cr: 0.629 0.173 0.700
Cr: 0.121 0.334 0.329
Cr: 0.879 0.666 0.829
Cr: 0.159 0.665 0.956
Cr: 0.841 0.335 0.456
Cr: 0.332 0.588 0.449
Cr: 0.668 0.412 0.949
Cr: 0.142 0.170 0.973
Cr: 0.858 0.830 0.473
Cr: 0.355 0.087 0.472
Cr: 0.645 0.913 0.972
Ag: 0.114 0.420 0.681
Ag: 0.886 0.580 0.181
Ag: 0.415 0.284 0.155
Ag: 0.585 0.716 0.655
Ag: 0.124 0.856 0.310
Ag: 0.876 0.144 0.810
Ag: 0.393 0.884 0.799
Ag: 0.607 0.116 0.299
S: 0.022 0.891 0.871
S: 0.978 0.109 0.371
S: 0.456 0.809 0.382
S: 0.544 0.191 0.882
S: 0.041 0.269 0.143
S: 0.959 0.731 0.643
S: 0.482 0.432 0.673
S: 0.518 0.568 0.173
S: 0.037 0.447 0.887
S: 0.963 0.553 0.387
S: 0.474 0.333 0.434
S: 0.526 0.667 0.934
S: 0.032 0.789 0.119
S: 0.968 0.211 0.619
S: 0.473 0.022 0.629
S: 0.527 0.978 0.129
S: 0.227 0.869 0.533
S: 0.773 0.131 0.033
S: 0.270 0.892 0.026
S: 0.730 0.108 0.526
S: 0.219 0.353 0.501
S: 0.781 0.647 0.001
S: 0.280 0.383 0.001
S: 0.720 0.617 0.501
S: 0.216 0.120 0.793
S: 0.784 0.880 0.293
S: 0.282 0.110 0.290
S: 0.718 0.890 0.790
S: 0.241 0.642 0.781
S: 0.759 0.358 0.281
S: 0.254 0.572 0.280
S: 0.746 0.428 0.780

---

No. 2
The following is a PBE-GGA calculation of an optimized crystal structure of NbCr3Ag2S8, from the Materials Project database.

Output
M_tot   8.7 μB per formula unit
E_form   -0.81 eV/atom
Energy   -170.3 eV for the cell shown
ΔE to the lowest computed polymorph   0.089 eV per atom

Lattice parameters (Å, degrees): 11.191 3.475 12.949 90.00 90.00 90.00
Positions (direct):
Nb: 0.054 0.250 0.119
Nb: 0.446 0.750 0.619
Cr: 0.941 0.750 0.882
Cr: 0.559 0.250 0.382
Cr: 0.074 0.250 0.596
Cr: 0.909 0.750 0.408
Cr: 0.426 0.750 0.096
Cr: 0.591 0.250 0.908
Ag: 0.241 0.250 0.338
Ag: 0.766 0.750 0.677
Ag: 0.259 0.750 0.838
Ag: 0.734 0.250 0.177
S: 0.026 0.750 0.711
S: 0.968 0.250 0.288
S: 0.474 0.250 0.211
S: 0.532 0.750 0.788
S: 0.084 0.250 0.925
S: 0.905 0.750 0.065
S: 0.416 0.750 0.425
S: 0.595 0.250 0.565
S: 0.110 0.750 0.471
S: 0.879 0.250 0.527
S: 0.390 0.250 0.971
S: 0.621 0.750 0.027
S: 0.211 0.750 0.148
S: 0.797 0.250 0.845
S: 0.289 0.250 0.648
S: 0.703 0.750 0.345